ThTi2O6: relaxed, GGA-PBE.

a b c (Å): 6.9529 6.9529 5.2357
angles (deg): 70.74 70.74 76.89
Closest atoms and distances in Å follow each position.
Atoms (fractional coordinates):
1 Th 0.1886 0.8114 0.2500  6 O 2.33-2.51
2 Th 0.8114 0.1886 0.7500  6 O 2.33-2.51
3 Ti 0.3514 0.1881 0.4403  6 O 1.88-2.05
4 Ti 0.8119 0.6486 0.0597  6 O 1.88-2.05
5 Ti 0.6486 0.8119 0.5597  6 O 1.88-2.05
6 Ti 0.1881 0.3514 0.9403  6 O 1.88-2.05
7 O 0.3984 0.8826 0.4657  2 Ti 1.88-2.04
8 O 0.1174 0.6016 0.0343  2 Ti 1.88-2.04
9 O 0.6016 0.1174 0.5343  2 Ti 1.88-2.04
10 O 0.8826 0.3984 0.9657  2 Ti 1.88-2.04
11 O 0.4502 0.2709 0.0332  2 Ti 1.94-1.95
12 O 0.7291 0.5498 0.4668  2 Ti 1.94-1.95
13 O 0.9058 0.8221 0.6511  2 Ti 2.02-2.05
14 O 0.1779 0.0942 0.8489  2 Ti 2.02-2.05
15 O 0.0942 0.1779 0.3489  2 Ti 2.02-2.05
16 O 0.8221 0.9058 0.1511  2 Ti 2.02-2.05
17 O 0.2709 0.4502 0.5332  2 Ti 1.94-1.95
18 O 0.5498 0.7291 0.9668  2 Ti 1.94-1.95

Values from the calculation:
Excess energy over the best structure of this formula in the dataset   16 meV/atom
Energy relative to the elements   -3.775 eV/atom
Space group   No. 15
Density   6.3 g/cm³